No. 1
The following is a DFT calculation (PBE) of an optimized crystal structure of Li4Cu5P6O22.

Summary:
SG: P2_1/c, No. 14
final energy: -6.35 eV/atom

abc: 12.3355 6.7591 10.6513
angles: 90.00 105.47 90.00
Atoms (fractional coordinates):
Li  0.1636  0.0252  0.1228
Li  0.1636  0.4748  0.6228
Li  0.3168  0.6179  0.4474
Li  0.3168  0.8821  0.9474
Li  0.6832  0.1179  0.0526
Li  0.6832  0.3821  0.5526
Li  0.8364  0.5252  0.3772
Li  0.8364  0.9748  0.8772
Cu  0.1614  0.0076  0.7002
Cu  0.1614  0.4924  0.2002
Cu  0.3706  0.2404  0.7137
Cu  0.3706  0.2596  0.2137
Cu  0.5000  0.0000  0.5000
Cu  0.5000  0.5000  0.0000
Cu  0.6294  0.7404  0.7863
Cu  0.6294  0.7596  0.2863
Cu  0.8386  0.5076  0.7998
Cu  0.8386  0.9924  0.2998
P  0.0815  0.7071  0.9207
P  0.0815  0.7929  0.4207
P  0.2429  0.1118  0.4304
P  0.2429  0.3882  0.9304
P  0.4055  0.7305  0.7282
P  0.4055  0.7695  0.2282
P  0.5945  0.2305  0.7718
P  0.5945  0.2695  0.2718
P  0.7571  0.6118  0.0696
P  0.7571  0.8882  0.5696
P  0.9185  0.2071  0.5793
P  0.9185  0.2929  0.0793
O  0.0436  0.2167  0.6478
O  0.0436  0.2833  0.1478
O  0.1097  0.7064  0.0711
O  0.1097  0.7936  0.5711
O  0.1231  0.0034  0.3711
O  0.1231  0.4966  0.8711
O  0.1487  0.6245  0.3813
O  0.1487  0.8755  0.8813
O  0.2370  0.2189  0.5557
O  0.2370  0.2811  0.0557
O  0.2560  0.2396  0.8254
O  0.2560  0.2604  0.3254
O  0.3296  0.5597  0.6635
O  0.3296  0.9403  0.1635
O  0.3309  0.5523  0.9536
O  0.3309  0.9477  0.4536
O  0.3344  0.5935  0.2548
O  0.3344  0.9065  0.7548
O  0.4913  0.7269  0.1455
O  0.4913  0.7731  0.6455
O  0.4991  0.6900  0.8620
O  0.4991  0.8100  0.3620
O  0.5009  0.1900  0.6380
O  0.5009  0.3100  0.1380
O  0.5087  0.2269  0.3545
O  0.5087  0.2731  0.8545
O  0.6656  0.0935  0.2452
O  0.6656  0.4065  0.7452
O  0.6691  0.0523  0.5464
O  0.6691  0.4477  0.0464
O  0.6704  0.0597  0.8365
O  0.6704  0.4403  0.3365
O  0.7440  0.7396  0.6746
O  0.7440  0.7604  0.1746
O  0.7630  0.7189  0.9443
O  0.7630  0.7811  0.4443
O  0.8513  0.1245  0.1187
O  0.8513  0.3755  0.6187
O  0.8769  0.5034  0.1289
O  0.8769  0.9966  0.6289
O  0.8903  0.2064  0.4289
O  0.8903  0.2936  0.9289
O  0.9564  0.7167  0.8522
O  0.9564  0.7833  0.3522

---

No. 2
The following is a DFT calculation (PBE) of an optimized crystal structure of Li9Cu3P8O29.

Summary:
SG: P-3c1, No. 165
final energy: -6.42 eV/atom

abc: 9.8015 9.8015 13.7727
angles: 90.00 90.00 120.00
Atoms (fractional coordinates):
Li  0.0000  0.0000  0.0000
Li  0.0000  0.0000  0.5000
Li  0.0977  0.3329  0.0645
Li  0.0977  0.7648  0.5645
Li  0.2352  0.3329  0.5645
Li  0.2352  0.9023  0.0645
Li  0.3329  0.0977  0.4355
Li  0.3329  0.2352  0.9355
Li  0.3333  0.6667  0.3788
Li  0.3333  0.6667  0.8788
Li  0.6667  0.3333  0.1212
Li  0.6667  0.3333  0.6212
Li  0.6671  0.7648  0.0645
Li  0.6671  0.9023  0.5645
Li  0.7648  0.0977  0.9355
Li  0.7648  0.6671  0.4355
Li  0.9023  0.2352  0.4355
Li  0.9023  0.6671  0.9355
Cu  0.0000  0.4346  0.2500
Cu  0.0000  0.5654  0.7500
Cu  0.4346  0.0000  0.2500
Cu  0.4346  0.4346  0.7500
Cu  0.5654  0.0000  0.7500
Cu  0.5654  0.5654  0.2500
P  0.0907  0.3189  0.8434
P  0.0907  0.7719  0.3434
P  0.2281  0.3189  0.3434
P  0.2281  0.9093  0.8434
P  0.3189  0.0907  0.6566
P  0.3189  0.2281  0.1566
P  0.3333  0.6667  0.1245
P  0.3333  0.6667  0.6245
P  0.6667  0.3333  0.3755
P  0.6667  0.3333  0.8755
P  0.6811  0.7719  0.8434
P  0.6811  0.9093  0.3434
P  0.7719  0.0907  0.1566
P  0.7719  0.6811  0.6566
P  0.9093  0.2281  0.6566
P  0.9093  0.6811  0.1566
O  0.0000  0.2140  0.7500
O  0.0000  0.7860  0.2500
O  0.0010  0.2278  0.5672
O  0.0010  0.7732  0.0672
O  0.0777  0.3306  0.3447
O  0.0777  0.7470  0.8447
O  0.1112  0.4842  0.8332
O  0.1112  0.6270  0.3332
O  0.1901  0.5095  0.1601
O  0.1901  0.6807  0.6601
O  0.2140  0.0000  0.7500
O  0.2140  0.2140  0.2500
O  0.2268  0.2278  0.0672
O  0.2268  0.9990  0.5672
O  0.2278  0.0010  0.9328
O  0.2278  0.2268  0.4328
O  0.2530  0.3306  0.8447
O  0.2530  0.9223  0.3447
O  0.3193  0.5095  0.6601
O  0.3193  0.8099  0.1601
O  0.3306  0.0777  0.1553
O  0.3306  0.2530  0.6553
O  0.3333  0.6667  0.0140
O  0.3333  0.6667  0.5140
O  0.3730  0.4842  0.3332
O  0.3730  0.8888  0.8332
O  0.4842  0.1112  0.6668
O  0.4842  0.3730  0.1668
O  0.4905  0.6807  0.1601
O  0.4905  0.8099  0.6601
O  0.5095  0.1901  0.3399
O  0.5095  0.3193  0.8399
O  0.5158  0.6270  0.8332
O  0.5158  0.8888  0.3332
O  0.6270  0.1112  0.1668
O  0.6270  0.5158  0.6668
O  0.6667  0.3333  0.4860
O  0.6667  0.3333  0.9860
O  0.6694  0.7470  0.3447
O  0.6694  0.9223  0.8447
O  0.6807  0.1901  0.8399
O  0.6807  0.4905  0.3399
O  0.7470  0.0777  0.6553
O  0.7470  0.6694  0.1553
O  0.7722  0.7732  0.5672
O  0.7722  0.9990  0.0672
O  0.7732  0.0010  0.4328
O  0.7732  0.7722  0.9328
O  0.7860  0.0000  0.2500
O  0.7860  0.7860  0.7500
O  0.8099  0.3193  0.3399
O  0.8099  0.4905  0.8399
O  0.8888  0.3730  0.6668
O  0.8888  0.5158  0.1668
O  0.9223  0.2530  0.1553
O  0.9223  0.6694  0.6553
O  0.9990  0.2268  0.9328
O  0.9990  0.7722  0.4328

---

No. 3
The following is a DFT calculation (PBE) of an optimized crystal structure of LiCu5P3O13.

Summary:
SG: P-1, No. 2
final energy: -6.14 eV/atom

abc: 6.2479 8.2424 9.9063
angles: 92.35 90.23 90.36
Atoms (fractional coordinates):
Li  0.2492  0.4332  0.4553
Li  0.7508  0.5668  0.5447
Cu  0.0045  0.1402  0.7839
Cu  0.2512  0.7785  0.5446
Cu  0.2549  0.8543  0.9207
Cu  0.2568  0.5677  0.1026
Cu  0.4986  0.8609  0.2148
Cu  0.5014  0.1391  0.7852
Cu  0.7432  0.4323  0.8974
Cu  0.7451  0.1457  0.0793
Cu  0.7488  0.2215  0.4554
Cu  0.9955  0.8598  0.2161
P  0.2498  0.1320  0.5078
P  0.2507  0.1582  0.1139
P  0.2527  0.4864  0.7690
P  0.7473  0.5136  0.2310
P  0.7493  0.8418  0.8861
P  0.7502  0.8680  0.4922
O  0.0451  0.0916  0.1849
O  0.0474  0.3774  0.7801
O  0.0582  0.2417  0.4732
O  0.2416  0.3418  0.1206
O  0.2426  0.7999  0.1160
O  0.2495  0.0923  0.6635
O  0.2494  0.5640  0.6285
O  0.2513  0.6146  0.8888
O  0.2518  0.9655  0.4303
O  0.2546  0.0914  0.9633
O  0.4412  0.2445  0.4756
O  0.4568  0.0986  0.1873
O  0.4599  0.3816  0.7795
O  0.5401  0.6184  0.2205
O  0.5432  0.9014  0.8127
O  0.5588  0.7555  0.5244
O  0.7454  0.9086  0.0367
O  0.7482  0.0345  0.5697
O  0.7487  0.3854  0.1112
O  0.7506  0.4360  0.3715
O  0.7505  0.9077  0.3365
O  0.7574  0.2001  0.8840
O  0.7584  0.6582  0.8794
O  0.9418  0.7583  0.5268
O  0.9526  0.6226  0.2199
O  0.9549  0.9084  0.8151

---

No. 4
The following is a DFT calculation (PBE) of an optimized crystal structure of LiCu2PO4.

Summary:
SG: P1, No. 1
energy relative to the lowest polymorph listed for this composition: 0.53 kJ/mol of atoms

abc: 5.4672 6.2782 10.3529
angles: 90.16 90.12 92.00
Atoms (fractional coordinates):
Li  0.0000  0.0000  0.0000
Li  0.0029  0.9883  0.4922
Li  0.1715  0.7429  0.2436
Li  0.6540  0.9975  0.2459
Cu  0.0937  0.7413  0.7491
Cu  0.5594  0.2572  0.9857
Cu  0.5598  0.2482  0.4855
Cu  0.6748  0.9663  0.7578
Cu  0.6772  0.4509  0.2273
Cu  0.6780  0.5138  0.7452
Cu  0.9747  0.4678  0.9923
Cu  0.9841  0.4879  0.4931
P  0.1480  0.2334  0.2482
P  0.1644  0.2376  0.7444
P  0.4826  0.7569  0.0072
P  0.4904  0.7527  0.4908
O  0.0053  0.0339  0.1933
O  0.0244  0.0374  0.6847
O  0.0314  0.4389  0.6927
O  0.0374  0.4486  0.1979
O  0.1413  0.2332  0.3981
O  0.1499  0.2325  0.8944
O  0.2141  0.7623  0.9595
O  0.2265  0.7557  0.4347
O  0.4176  0.2248  0.1997
O  0.4328  0.2429  0.6962
O  0.4827  0.7503  0.6411
O  0.4977  0.7486  0.1564
O  0.6098  0.5599  0.9468
O  0.6238  0.5518  0.4393
O  0.6381  0.9576  0.9584
O  0.6450  0.9510  0.4402

---

No. 5
The following is a DFT calculation (PBE) of an optimized crystal structure of Li2CuPO4.

Summary:
maximum piezoelectric response: 0.682 C/m2
SG: Pmn2_1, No. 31
energy relative to the lowest polymorph listed for this composition: 0.58 kJ/mol of atoms

abc: 6.2334 5.3086 5.0735
angles: 90.00 90.00 90.00
Atoms (fractional coordinates):
Li  0.2497  0.1755  0.0000
Li  0.2503  0.8245  0.5000
Li  0.7503  0.1755  0.0000
Li  0.7497  0.8245  0.5000
Cu  0.0000  0.3095  0.4998
Cu  0.5000  0.6905  0.9998
P  0.0000  0.6777  0.0042
P  0.5000  0.3223  0.5042
O  0.0000  0.3967  0.9156
O  0.0000  0.6962  0.3093
O  0.2021  0.8166  0.8913
O  0.2979  0.1834  0.3913
O  0.5000  0.3038  0.8093
O  0.5000  0.6033  0.4156
O  0.7021  0.1834  0.3913
O  0.7979  0.8166  0.8913

---

No. 6
The following is a DFT calculation (PBE) of an optimized crystal structure of LiCu2PO4.

Summary:
SG: I-42m, No. 121
energy relative to the lowest polymorph listed for this composition: 2.47 kJ/mol of atoms

abc: 5.5090 5.5090 5.5090
angles: 132.96 132.96 68.72
Atoms (fractional coordinates):
Li  0.0000  0.0000  0.0000
Cu  0.2500  0.7500  0.5000
Cu  0.7500  0.2500  0.5000
P  0.5000  0.5000  0.0000
O  0.1961  0.1961  0.5859
O  0.3898  0.8039  0.0000
O  0.6102  0.6102  0.4141
O  0.8039  0.3898  0.0000

---

No. 7
The following is a DFT calculation (PBE) of an optimized crystal structure of LiCu5P2O8.

Summary:
SG: Pm, No. 6
energy relative to the lowest polymorph listed for this composition: 0.63 kJ/mol of atoms

abc: 5.6622 6.2053 10.3416
angles: 90.00 90.75 90.00
Atoms (fractional coordinates):
Li  0.0000  0.0000  0.0000
Li  0.2874  0.5000  0.2493
Cu  0.4007  0.5000  0.7427
Cu  0.4912  0.2566  0.5052
Cu  0.4912  0.7434  0.5052
Cu  0.5044  0.2850  0.9901
Cu  0.5044  0.7150  0.9901
Cu  0.7834  0.2860  0.7537
Cu  0.7834  0.7140  0.7537
Cu  0.7913  0.2000  0.2426
Cu  0.7913  0.8000  0.2426
Cu  0.8914  0.0000  0.4871
P  0.2849  0.0000  0.7594
P  0.3170  0.0000  0.2534
P  0.9765  0.5000  0.0129
P  0.9822  0.5000  0.5016
O  0.0261  0.0000  0.7112
O  0.0646  0.0000  0.1884
O  0.2301  0.5000  0.4398
O  0.2331  0.5000  0.9616
O  0.3012  0.0000  0.4031
O  0.3061  0.0000  0.9099
O  0.4264  0.1970  0.7038
O  0.4264  0.8030  0.7038
O  0.4426  0.2111  0.2052
O  0.4426  0.7889  0.2052
O  0.8365  0.3009  0.4515
O  0.8365  0.6991  0.4515
O  0.8532  0.2892  0.9597
O  0.8532  0.7108  0.9597
O  0.9704  0.5000  0.1632
O  0.9981  0.5000  0.6517

---

No. 8
The following is a DFT calculation (PBE) of an optimized crystal structure of Li2CuPO4.

Summary:
SG: P3_121, No. 152
energy relative to the lowest polymorph listed for this composition: 4.10 kJ/mol of atoms

abc: 4.9647 4.9647 12.0297
angles: 90.00 90.00 120.00
Atoms (fractional coordinates):
Li  0.0866  0.4247  0.4174
Li  0.3380  0.9134  0.0840
Li  0.4247  0.0866  0.5826
Li  0.5753  0.6620  0.7507
Li  0.6620  0.5753  0.2493
Li  0.9134  0.3380  0.9160
Cu  0.0000  0.3206  0.6667
Cu  0.3206  0.0000  0.3333
Cu  0.6794  0.6794  0.0000
P  0.0000  0.2324  0.1667
P  0.2324  0.0000  0.8333
P  0.7676  0.7676  0.5000
O  0.0865  0.4513  0.0652
O  0.0995  0.8140  0.4726
O  0.1860  0.2855  0.8059
O  0.2855  0.1860  0.1941
O  0.3648  0.9135  0.7319
O  0.4513  0.0865  0.9348
O  0.5487  0.6352  0.3985
O  0.6352  0.5487  0.6015
O  0.7145  0.9005  0.1393
O  0.8140  0.0995  0.5274
O  0.9005  0.7145  0.8607
O  0.9135  0.3648  0.2681